# CaTiMnP3O12

CaTiMnP3O12 after structural relaxation (PBE+U, the Materials Project database).

POSCAR file:
```
CaTiMnP3O12
1.0
-6.326 -4.942 -3.783
-3.116 -7.338 3.899
-8.221 -0.362 3.323
O P Ca Ti Mn
24 6 2 2 2
direct
0.206 0.999 0.372
0.084 0.937 0.726
0.437 0.584 0.226
0.793 0.013 0.621
0.013 0.621 0.793
0.513 0.293 0.121
0.772 0.556 0.422
0.872 0.499 0.706
0.372 0.206 0.999
0.556 0.422 0.772
0.499 0.706 0.872
0.706 0.872 0.499
0.422 0.772 0.556
0.937 0.726 0.084
0.121 0.513 0.293
0.226 0.437 0.584
0.922 0.056 0.272
0.293 0.121 0.513
0.726 0.084 0.937
0.056 0.272 0.922
0.584 0.226 0.437
0.999 0.372 0.206
0.272 0.922 0.056
0.621 0.793 0.013
0.751 0.040 0.461
0.961 0.540 0.251
0.540 0.251 0.961
0.251 0.961 0.540
0.040 0.461 0.751
0.461 0.751 0.040
0.998 0.998 0.998
0.498 0.498 0.498
0.146 0.146 0.146
0.646 0.646 0.646
0.354 0.354 0.354
0.854 0.854 0.854
```

Values from the calculation:
Energy relative to the elements in meV per atom: -2910.3
Spin magnetization in Bohr magnetons per cell: 8.0
Final energy in eV per atom: -7.62
E above lowest polymorph in eV per atom: 0.0105